1.
The following is a PBE with a Hubbard U calculation of Ho2V2O7 after structural relaxation, from Materials Project.

Results
Formation energy ... -3.176 eV per atom

Geometry as CIF:
```
data_Ho2V2O7
_cell_length_a 6.6622
_cell_length_b 9.4996
_cell_length_c 5.2430
_cell_angle_alpha 90.00
_cell_angle_beta 100.58
_cell_angle_gamma 90.00
_space_group_name_H-M_alt 'C 1 2/m 1'
_space_group_IT_number 12
loop_
_space_group_symop_operation_xyz
'x,y,z'
'-x,-y,-z'
'-x,y,-z'
'x,-y,z'
'x+1/2,y+1/2,z'
'-x+1/2,-y+1/2,-z'
'-x+1/2,y+1/2,-z'
'x+1/2,-y+1/2,z'
loop_
_atom_site_label
_atom_site_type_symbol
_atom_site_fract_x
_atom_site_fract_y
_atom_site_fract_z
Ho1 Ho 0.0000 0.1875 0.0000
V1 V 0.2453 0.5000 0.3993
O1 O 0.0000 0.5000 0.5000
O2 O 0.0775 0.0000 0.2774
O3 O 0.2281 0.3375 0.2061
```

2.
The following is a PBE with a Hubbard U calculation of HoW2O6 after structural relaxation, from Materials Project.

Results
Formation energy ... -2.560 eV per atom

Geometry as CIF:
```
data_HoW2O6
_cell_length_a 5.4101
_cell_length_b 7.8692
_cell_length_c 5.6533
_cell_angle_alpha 90.00
_cell_angle_beta 90.02
_cell_angle_gamma 90.00
_space_group_name_H-M_alt 'P 1 m 1'
_space_group_IT_number 6
loop_
_space_group_symop_operation_xyz
'x,y,z'
'x,-y,z'
loop_
_atom_site_label
_atom_site_type_symbol
_atom_site_fract_x
_atom_site_fract_y
_atom_site_fract_z
Ho1 Ho 0.0000 0.0000 0.0000
Ho2 Ho 0.4922 0.5000 0.6410
W1 W 0.0105 0.2506 0.5625
W2 W 0.5131 0.2505 0.0846
O1 O 0.0917 0.0000 0.6121
O2 O 0.2166 0.2919 0.8415
O3 O 0.3314 0.3089 0.3864
O4 O 0.3984 0.0000 0.0954
O5 O 0.5858 0.5000 0.0308
O6 O 0.7289 0.2065 0.7897
O7 O 0.8474 0.1929 0.2706
O8 O 0.8927 0.5000 0.5469
```

3.
The following is a PBE with a Hubbard U calculation of Ho2W3O12 after structural relaxation, from Materials Project.

Results
Formation energy ... -2.771 eV per atom

Geometry as CIF:
```
data_Ho2W3O12
_cell_length_a 10.1307
_cell_length_b 10.2452
_cell_length_c 17.3245
_cell_angle_alpha 90.00
_cell_angle_beta 125.45
_cell_angle_gamma 90.00
_space_group_name_H-M_alt 'P 1 21/c 1'
_space_group_IT_number 14
loop_
_space_group_symop_operation_xyz
'x,y,z'
'-x,-y,-z'
'-x,y+1/2,-z+1/2'
'x,-y+1/2,z+1/2'
loop_
_atom_site_label
_atom_site_type_symbol
_atom_site_fract_x
_atom_site_fract_y
_atom_site_fract_z
Ho1 Ho 0.1341 0.0293 0.3819
Ho2 Ho 0.3623 0.0336 0.1180
W1 W 0.0258 0.7488 0.9999
W2 W 0.2529 0.1193 0.8566
W3 W 0.4646 0.6200 0.8571
O1 O 0.0031 0.6560 0.0809
O2 O 0.0866 0.0208 0.7630
O3 O 0.0868 0.6414 0.9427
O4 O 0.1661 0.1750 0.0893
O5 O 0.1790 0.6263 0.5655
O6 O 0.2014 0.2082 0.3344
O7 O 0.2883 0.0772 0.9688
O8 O 0.2980 0.5987 0.8680
O9 O 0.3479 0.0726 0.5327
O10 O 0.4323 0.5181 0.7619
O11 O 0.4360 0.0894 0.8630
O12 O 0.4762 0.7095 0.3333
```

4.
The following is a PBE with a Hubbard U calculation of Ho2W3O12 after structural relaxation, from Materials Project.

Results
Formation energy ... -2.744 eV per atom

Geometry as CIF:
```
data_Ho2W3O12
_cell_length_a 7.7305
_cell_length_b 11.4948
_cell_length_c 11.4058
_cell_angle_alpha 90.00
_cell_angle_beta 109.64
_cell_angle_gamma 90.00
_space_group_name_H-M_alt 'C 1 2/c 1'
_space_group_IT_number 15
loop_
_space_group_symop_operation_xyz
'x,y,z'
'-x,-y,-z'
'-x,y,-z+1/2'
'x,-y,z+1/2'
'x+1/2,y+1/2,z'
'-x+1/2,-y+1/2,-z'
'-x+1/2,y+1/2,-z+1/2'
'x+1/2,-y+1/2,z+1/2'
loop_
_atom_site_label
_atom_site_type_symbol
_atom_site_fract_x
_atom_site_fract_y
_atom_site_fract_z
Ho1 Ho 0.1652 0.1224 0.0931
W1 W 0.0000 0.1319 0.7500
W2 W 0.1465 0.3930 0.5492
O1 O 0.0484 0.2813 0.4382
O2 O 0.0654 0.4620 0.9240
O3 O 0.1311 0.0498 0.4621
O4 O 0.1310 0.2103 0.8941
O5 O 0.1687 0.0403 0.7194
O6 O 0.2265 0.3222 0.7017
```

5.
The following is a PBE with a Hubbard U calculation of K2UMoI2O12 after structural relaxation, from Materials Project.

Results
Formation energy ... -2.010 eV per atom

Geometry as CIF:
```
data_K2UMoI2O12
_cell_length_a 11.5467
_cell_length_b 7.4013
_cell_length_c 16.1501
_cell_angle_alpha 90.00
_cell_angle_beta 107.38
_cell_angle_gamma 90.00
_space_group_name_H-M_alt 'P 1 21/c 1'
_space_group_IT_number 14
loop_
_space_group_symop_operation_xyz
'x,y,z'
'-x,-y,-z'
'-x,y+1/2,-z+1/2'
'x,-y+1/2,z+1/2'
loop_
_atom_site_label
_atom_site_type_symbol
_atom_site_fract_x
_atom_site_fract_y
_atom_site_fract_z
K1 K 0.0015 0.2451 0.4526
K2 K 0.2408 0.7423 0.8576
U1 U 0.3305 0.0075 0.6405
Mo1 Mo 0.4189 0.2460 0.4461
I1 I 0.0959 0.2136 0.7282
I2 I 0.3221 0.5125 0.6104
O1 O 0.0096 0.1126 0.7941
O2 O 0.0107 0.6857 0.8791
O3 O 0.1884 0.5183 0.5170
O4 O 0.1965 0.0016 0.5454
O5 O 0.1997 0.0189 0.7283
O6 O 0.2805 0.1817 0.1687
O7 O 0.2827 0.7009 0.6728
O8 O 0.3017 0.1207 0.3746
O9 O 0.3915 0.0238 0.9233
O10 O 0.4158 0.2041 0.5582
O11 O 0.4316 0.6869 0.0677
O12 O 0.4647 0.0131 0.7350
```

6.
The following is a PBE with a Hubbard U calculation of KNiIO6 after structural relaxation, from Materials Project.

Results
Largest piezoelectric modulus ... 0.25 C/m2
Formation energy ... -1.067 eV per atom

Geometry as CIF:
```
data_KNiIO6
_cell_length_a 5.0211
_cell_length_b 5.0211
_cell_length_c 6.1173
_cell_angle_alpha 90.00
_cell_angle_beta 90.00
_cell_angle_gamma 120.00
_space_group_name_H-M_alt 'P 3 1 2'
_space_group_IT_number 149
loop_
_space_group_symop_operation_xyz
'x,y,z'
'-y,x-y,z'
'-x+y,-x,z'
'-y,-x,-z'
'-x+y,y,-z'
'x,x-y,-z'
loop_
_atom_site_label
_atom_site_type_symbol
_atom_site_fract_x
_atom_site_fract_y
_atom_site_fract_z
K1 K 0.0000 0.0000 0.0000
Ni1 Ni 0.3333 0.6667 0.5000
I1 I 0.6667 0.3333 0.5000
O1 O 0.0024 0.3788 0.6750
```

7.
The following is a PBE with a Hubbard U calculation of KUVIO10 after structural relaxation, from Materials Project.

Results
Formation energy ... -2.048 eV per atom

Geometry as CIF:
```
data_KUVIO10
_cell_length_a 10.1517
_cell_length_b 17.3007
_cell_length_c 5.0361
_cell_angle_alpha 90.00
_cell_angle_beta 90.00
_cell_angle_gamma 90.00
_space_group_name_H-M_alt 'P b a 2'
_space_group_IT_number 32
loop_
_space_group_symop_operation_xyz
'x,y,z'
'-x,-y,z'
'-x+1/2,y+1/2,z'
'x+1/2,-y+1/2,z'
loop_
_atom_site_label
_atom_site_type_symbol
_atom_site_fract_x
_atom_site_fract_y
_atom_site_fract_z
K1 K 0.2274 0.1019 0.0000
U1 U 0.0870 0.7655 0.5640
V1 V 0.1416 0.4436 0.5566
I1 I 0.1476 0.3340 0.0699
O1 O 0.0000 0.0000 0.1156
O2 O 0.0000 0.5000 0.6662
O3 O 0.0105 0.1533 0.6794
O4 O 0.0347 0.3317 0.7717
O5 O 0.0421 0.4087 0.2493
O6 O 0.0602 0.2505 0.2271
O7 O 0.1861 0.6845 0.4541
O8 O 0.2238 0.7686 0.9289
O9 O 0.2275 0.4208 0.8778
O10 O 0.2404 0.5117 0.4554
O11 O 0.2428 0.8534 0.3770
```

8.
The following is a PBE with a Hubbard U calculation of KVI2O8 after structural relaxation, from Materials Project.

Results
Formation energy ... -1.472 eV per atom

Geometry as CIF:
```
data_KVI2O8
_cell_length_a 9.7930
_cell_length_b 5.3085
_cell_length_c 16.4869
_cell_angle_alpha 90.00
_cell_angle_beta 110.78
_cell_angle_gamma 90.00
_space_group_name_H-M_alt 'P 1 21/c 1'
_space_group_IT_number 14
loop_
_space_group_symop_operation_xyz
'x,y,z'
'-x,-y,-z'
'-x,y+1/2,-z+1/2'
'x,-y+1/2,z+1/2'
loop_
_atom_site_label
_atom_site_type_symbol
_atom_site_fract_x
_atom_site_fract_y
_atom_site_fract_z
K1 K 0.0861 0.2272 0.4097
V1 V 0.3008 0.7201 0.3141
I1 I 0.2259 0.2250 0.1799
I2 I 0.4381 0.6739 0.0715
O1 O 0.0742 0.2388 0.0789
O2 O 0.1563 0.5530 0.7233
O3 O 0.1605 0.0349 0.7411
O4 O 0.2645 0.6807 0.4046
O5 O 0.3021 0.6811 0.1238
O6 O 0.3833 0.1283 0.5155
O7 O 0.3961 0.0542 0.3352
O8 O 0.4521 0.5571 0.3234
```